[1]
# Na3MgNb5Si3P6O36 | the Materials Project | PBE | optimized geometry
# space-group type = No. 158
data_Na3MgNb5Si3P6O36
_space_group_name_H-M_alt 'P 1'
_space_group_IT_number 1
_cell_length_a 8.809
_cell_length_b 8.809
_cell_length_c 22.903
_cell_angle_alpha 90.00
_cell_angle_beta 90.00
_cell_angle_gamma 120.00
loop_
_space_group_symop_operation_xyz
'x,y,z'
loop_
_atom_site_label
_atom_site_fract_x
_atom_site_fract_y
_atom_site_fract_z
_atom_site_occupancy
Na1 0.333 0.667 0.167 1
Na2 0.000 0.000 0.999 1
Na3 0.333 0.667 0.667 1
Na4 0.667 0.333 0.828 1
Na5 0.667 0.333 0.328 1
Na6 0.000 0.000 0.499 1
O1 0.854 0.495 0.426 1
O2 0.136 0.502 0.859 1
O3 0.876 0.511 0.139 1
O4 0.832 0.024 0.091 1
O5 0.462 0.304 0.029 1
O6 0.025 0.187 0.908 1
O7 0.353 0.494 0.075 1
O8 0.635 0.124 0.139 1
O9 0.301 0.469 0.474 1
O10 0.470 0.306 0.744 1
O11 0.353 0.859 0.575 1
O12 0.842 0.538 0.029 1
O13 0.028 0.830 0.695 1
O14 0.300 0.831 0.256 1
O15 0.641 0.495 0.926 1
O16 0.505 0.359 0.426 1
O17 0.531 0.831 0.756 1
O18 0.506 0.647 0.575 1
O19 0.366 0.502 0.359 1
O20 0.141 0.647 0.075 1
O21 0.696 0.158 0.029 1
O22 0.170 0.197 0.695 1
O23 0.832 0.808 0.591 1
O24 0.170 0.972 0.195 1
O25 0.136 0.634 0.359 1
O26 0.641 0.146 0.426 1
O27 0.976 0.808 0.091 1
O28 0.498 0.864 0.359 1
O29 0.462 0.158 0.529 1
O30 0.300 0.469 0.756 1
O31 0.803 0.972 0.695 1
O32 0.195 0.174 0.804 1
O33 0.169 0.469 0.256 1
O34 0.813 0.837 0.908 1
O35 0.826 0.021 0.804 1
O36 0.366 0.864 0.859 1
O37 0.813 0.975 0.408 1
O38 0.141 0.494 0.575 1
O39 0.489 0.365 0.139 1
O40 0.854 0.359 0.926 1
O41 0.694 0.530 0.244 1
O42 0.842 0.304 0.529 1
O43 0.163 0.975 0.908 1
O44 0.836 0.306 0.244 1
O45 0.826 0.805 0.304 1
O46 0.192 0.024 0.591 1
O47 0.167 0.699 0.474 1
O48 0.531 0.700 0.256 1
O49 0.976 0.168 0.591 1
O50 0.470 0.164 0.244 1
O51 0.169 0.700 0.756 1
O52 0.167 0.469 0.974 1
O53 0.192 0.168 0.091 1
O54 0.489 0.124 0.639 1
O55 0.979 0.174 0.304 1
O56 0.195 0.021 0.304 1
O57 0.876 0.365 0.639 1
O58 0.505 0.146 0.926 1
O59 0.979 0.805 0.804 1
O60 0.163 0.187 0.408 1
O61 0.803 0.830 0.195 1
O62 0.301 0.833 0.974 1
O63 0.635 0.511 0.639 1
O64 0.531 0.833 0.474 1
O65 0.836 0.530 0.744 1
O66 0.506 0.859 0.075 1
O67 0.498 0.634 0.859 1
O68 0.028 0.197 0.195 1
O69 0.694 0.164 0.744 1
O70 0.531 0.699 0.974 1
O71 0.696 0.538 0.529 1
O72 0.025 0.837 0.408 1
P1 0.953 0.618 0.086 1
P2 0.665 0.047 0.086 1
P3 0.953 0.335 0.586 1
P4 0.293 0.288 0.750 1
P5 0.712 0.005 0.750 1
P6 0.995 0.707 0.750 1
P7 0.293 0.005 0.250 1
P8 0.995 0.288 0.250 1
P9 0.382 0.335 0.086 1
P10 0.665 0.618 0.586 1
P11 0.382 0.047 0.586 1
P12 0.712 0.707 0.250 1
Nb1 0.667 0.333 0.978 1
Nb2 0.333 0.667 0.520 1
Nb3 0.000 0.000 0.646 1
Nb4 0.333 0.667 0.020 1
Nb5 0.000 0.000 0.855 1
Nb6 0.667 0.333 0.478 1
Nb7 0.000 0.000 0.355 1
Nb8 0.000 0.000 0.146 1
Nb9 0.333 0.667 0.312 1
Nb10 0.333 0.667 0.812 1
Si1 0.046 0.666 0.417 1
Si2 0.334 0.380 0.417 1
Si3 0.046 0.380 0.917 1
Si4 0.334 0.954 0.917 1
Si5 0.620 0.666 0.917 1
Si6 0.620 0.954 0.417 1
Mg1 0.667 0.333 0.187 1
Mg2 0.667 0.333 0.687 1

=====

[2]
# Na9Mg4Nb8Si3P15O72 | the Materials Project | PBE | optimized geometry
# space-group type = No. 1
data_Na9Mg4Nb8Si3P15O72
_space_group_name_H-M_alt 'P 1'
_space_group_IT_number 1
_cell_length_a 8.831
_cell_length_b 8.837
_cell_length_c 22.703
_cell_angle_alpha 89.91
_cell_angle_beta 90.14
_cell_angle_gamma 120.02
loop_
_space_group_symop_operation_xyz
'x,y,z'
loop_
_atom_site_label
_atom_site_fract_x
_atom_site_fract_y
_atom_site_fract_z
_atom_site_occupancy
Nb1 0.331 0.668 0.021 1
Nb2 0.334 0.664 0.811 1
Nb3 0.338 0.662 0.311 1
Nb4 0.000 0.000 0.146 1
Nb5 0.669 0.338 0.979 1
Nb6 0.003 0.002 0.646 1
Nb7 0.664 0.335 0.480 1
Nb8 0.332 0.664 0.522 1
O1 0.865 0.494 0.423 1
O2 0.841 0.309 0.529 1
O3 0.173 0.703 0.757 1
O4 0.531 0.703 0.255 1
O5 0.971 0.166 0.589 1
O6 0.471 0.165 0.527 1
O7 0.843 0.526 0.743 1
O8 0.319 0.841 0.970 1
O9 0.844 0.322 0.246 1
O10 0.978 0.820 0.090 1
O11 0.826 0.797 0.305 1
O12 0.355 0.494 0.072 1
O13 0.031 0.831 0.696 1
O14 0.526 0.843 0.472 1
O15 0.362 0.501 0.360 1
O16 0.180 0.024 0.591 1
O17 0.158 0.476 0.971 1
O18 0.630 0.494 0.923 1
O19 0.687 0.530 0.244 1
O20 0.821 0.022 0.807 1
O21 0.799 0.974 0.696 1
O22 0.634 0.512 0.639 1
O23 0.211 0.020 0.310 1
O24 0.168 0.974 0.198 1
O25 0.691 0.161 0.028 1
O26 0.503 0.135 0.924 1
O27 0.131 0.638 0.359 1
O28 0.525 0.681 0.971 1
O29 0.347 0.848 0.573 1
O30 0.466 0.305 0.028 1
O31 0.028 0.198 0.913 1
O32 0.881 0.368 0.639 1
O33 0.831 0.808 0.590 1
O34 0.525 0.830 0.758 1
O35 0.695 0.535 0.529 1
O36 0.631 0.134 0.423 1
O37 0.800 0.968 0.413 1
O38 0.141 0.491 0.574 1
O39 0.488 0.368 0.139 1
O40 0.504 0.641 0.862 1
O41 0.194 0.171 0.089 1
O42 0.204 0.174 0.805 1
O43 0.300 0.471 0.757 1
O44 0.830 0.524 0.028 1
O45 0.170 0.177 0.415 1
O46 0.501 0.869 0.362 1
O47 0.979 0.796 0.807 1
O48 0.513 0.363 0.423 1
O49 0.471 0.314 0.744 1
O50 0.162 0.688 0.470 1
O51 0.169 0.476 0.256 1
O52 0.316 0.480 0.473 1
O53 0.359 0.868 0.860 1
O54 0.171 0.972 0.913 1
O55 0.135 0.495 0.862 1
O56 0.151 0.653 0.072 1
O57 0.474 0.159 0.244 1
O58 0.511 0.859 0.072 1
O59 0.508 0.648 0.574 1
O60 0.802 0.830 0.195 1
O61 0.864 0.366 0.923 1
O62 0.025 0.201 0.195 1
O63 0.171 0.200 0.696 1
O64 0.027 0.825 0.412 1
O65 0.887 0.517 0.147 1
O66 0.629 0.117 0.139 1
O67 0.677 0.153 0.746 1
O68 0.297 0.827 0.255 1
O69 0.803 0.826 0.913 1
O70 0.979 0.182 0.306 1
O71 0.834 0.030 0.089 1
O72 0.483 0.116 0.647 1
P1 0.290 0.287 0.753 1
P2 0.624 0.954 0.417 1
P3 0.952 0.333 0.585 1
P4 0.381 0.334 0.084 1
P5 0.332 0.957 0.916 1
P6 0.624 0.669 0.917 1
P7 0.667 0.621 0.586 1
P8 0.667 0.048 0.084 1
P9 0.045 0.375 0.917 1
P10 0.715 0.712 0.252 1
P11 0.994 0.285 0.252 1
P12 0.717 0.006 0.753 1
P13 0.043 0.663 0.415 1
P14 0.295 0.007 0.253 1
P15 0.992 0.707 0.753 1
Mg1 0.672 0.336 0.686 1
Mg2 0.996 0.002 0.354 1
Mg3 0.663 0.328 0.185 1
Mg4 0.999 0.998 0.854 1
Si1 0.953 0.621 0.088 1
Si2 0.379 0.045 0.587 1
Si3 0.328 0.371 0.417 1
Na1 0.679 0.345 0.826 1
Na2 0.000 0.000 0.993 1
Na3 0.665 0.331 0.324 1
Na4 0.342 0.668 0.165 1
Na5 0.321 0.030 0.411 1
Na6 0.992 0.003 0.494 1
Na7 0.373 0.015 0.744 1
Na8 0.987 0.627 0.244 1
Na9 0.333 0.660 0.665 1

=====

[3]
# Na5Mg2Nb2SiP5O24 | the Materials Project | PBE | optimized geometry
# space-group type = No. 1
data_Na5Mg2Nb2SiP5O24
_space_group_name_H-M_alt 'P 1'
_space_group_IT_number 1
_cell_length_a 8.928
_cell_length_b 8.963
_cell_length_c 22.343
_cell_angle_alpha 89.77
_cell_angle_beta 90.20
_cell_angle_gamma 119.93
loop_
_space_group_symop_operation_xyz
'x,y,z'
loop_
_atom_site_label
_atom_site_fract_x
_atom_site_fract_y
_atom_site_fract_z
_atom_site_occupancy
Na1 0.346 0.000 0.752 1
Na2 0.006 0.001 0.506 1
Na3 0.670 0.328 0.832 1
Na4 0.013 0.014 0.987 1
Na5 0.338 0.657 0.670 1
Na6 0.040 0.349 0.079 1
Na7 0.327 0.666 0.164 1
Na8 0.298 0.315 0.586 1
Na9 0.622 0.002 0.251 1
Na10 0.654 0.689 0.077 1
Na11 0.654 0.336 0.340 1
Na12 0.980 0.678 0.911 1
Na13 0.024 0.707 0.589 1
Na14 0.679 0.976 0.592 1
Na15 0.998 0.617 0.249 1
O1 0.195 0.227 0.689 1
O2 0.509 0.648 0.866 1
O3 0.987 0.172 0.305 1
O4 0.544 0.682 0.978 1
O5 0.463 0.166 0.526 1
O6 0.353 0.488 0.077 1
O7 0.017 0.196 0.193 1
O8 0.495 0.633 0.575 1
O9 0.038 0.816 0.695 1
O10 0.141 0.505 0.577 1
O11 0.307 0.845 0.971 1
O12 0.471 0.162 0.248 1
O13 0.872 0.367 0.637 1
O14 0.967 0.813 0.089 1
O15 0.841 0.039 0.089 1
O16 0.139 0.456 0.978 1
O17 0.135 0.497 0.866 1
O18 0.674 0.167 0.743 1
O19 0.635 0.506 0.637 1
O20 0.806 0.969 0.411 1
O21 0.126 0.650 0.356 1
O22 0.825 0.032 0.807 1
O23 0.772 0.966 0.685 1
O24 0.317 0.477 0.761 1
O25 0.832 0.294 0.250 1
O26 0.161 0.470 0.252 1
O27 0.463 0.302 0.028 1
O28 0.020 0.194 0.912 1
O29 0.176 0.005 0.590 1
O30 0.846 0.309 0.526 1
O31 0.194 0.018 0.307 1
O32 0.491 0.351 0.421 1
O33 0.703 0.538 0.249 1
O34 0.193 0.169 0.089 1
O35 0.819 0.806 0.589 1
O36 0.297 0.834 0.252 1
O37 0.859 0.363 0.923 1
O38 0.988 0.181 0.589 1
O39 0.358 0.873 0.859 1
O40 0.641 0.119 0.145 1
O41 0.531 0.840 0.469 1
O42 0.520 0.856 0.078 1
O43 0.506 0.833 0.759 1
O44 0.160 0.690 0.469 1
O45 0.502 0.140 0.923 1
O46 0.521 0.875 0.356 1
O47 0.692 0.164 0.032 1
O48 0.350 0.485 0.360 1
O49 0.150 0.646 0.079 1
O50 0.829 0.527 0.028 1
O51 0.165 0.195 0.411 1
O52 0.174 0.985 0.195 1
O53 0.308 0.463 0.473 1
O54 0.653 0.141 0.421 1
O55 0.637 0.494 0.922 1
O56 0.160 0.678 0.759 1
O57 0.496 0.131 0.642 1
O58 0.174 0.981 0.909 1
O59 0.482 0.323 0.741 1
O60 0.490 0.359 0.139 1
O61 0.538 0.709 0.252 1
O62 0.030 0.836 0.411 1
O63 0.699 0.541 0.526 1
O64 0.839 0.521 0.742 1
O65 0.973 0.781 0.809 1
O66 0.873 0.512 0.146 1
O67 0.807 0.826 0.194 1
O68 0.217 0.171 0.802 1
O69 0.831 0.814 0.305 1
O70 0.361 0.848 0.575 1
O71 0.813 0.815 0.913 1
O72 0.859 0.511 0.422 1
Nb1 0.339 0.667 0.815 1
Nb2 0.004 0.998 0.144 1
Nb3 0.003 0.003 0.358 1
Nb4 0.335 0.671 0.515 1
Nb5 0.664 0.332 0.980 1
Nb6 0.667 0.328 0.687 1
P1 0.624 0.963 0.411 1
P2 0.668 0.623 0.580 1
P3 0.957 0.333 0.580 1
P4 0.036 0.660 0.411 1
P5 0.708 0.710 0.251 1
P6 0.002 0.291 0.250 1
P7 0.629 0.669 0.922 1
P8 0.044 0.371 0.921 1
P9 0.340 0.380 0.413 1
P10 0.380 0.334 0.085 1
P11 0.662 0.041 0.088 1
P12 0.331 0.959 0.918 1
P13 0.997 0.706 0.752 1
P14 0.290 0.291 0.749 1
P15 0.294 0.003 0.252 1
Mg1 0.331 0.673 0.019 1
Mg2 0.333 0.661 0.313 1
Mg3 0.664 0.334 0.188 1
Mg4 0.663 0.331 0.479 1
Mg5 0.998 0.009 0.850 1
Mg6 0.995 0.999 0.653 1
Si1 0.963 0.623 0.088 1
Si2 0.714 0.999 0.749 1
Si3 0.369 0.041 0.580 1

=====

Asked for magnetization across the records above, the calculation gives 0.00 0.00 0.00 μB/f.u. in order.
Asked for total DFT energy (no corrections) across the records above, the calculation gives -7.72 -7.40 -7.04 eV per atom in order.